(1)
Entry from the Materials Project database: crystalline Na7Sc2Si3Sn2P3O24 at its relaxed geometry (PBE).

As for the formation energy: -2.81 eV/atom. The calculation puts the density at 3.236 g/cm3. Its total energy is -6.832 eV/atom.

a = 9.1140 Å, b = 9.1168 Å, c = 22.4492 Å
α = 89.92°, β = 89.79°, γ = 60.01°
Last column: nearest neighbours and their distance in Å.
Sites, in units of the cell vectors:
Na1 0.0000 0.0000 0.0000  6 O 2.45-2.70
Na2 0.9999 0.3696 0.5046  6 O 2.43-2.72
Na3 0.0320 0.0211 0.3330  5 O 2.43-2.65
Na4 0.0325 0.3043 0.8331  5 O 2.43-2.62
Na5 0.0346 0.6637 0.0847  6 O 2.49-2.63
Na6 0.0431 0.6634 0.5863  6 O 2.47-2.70
Na7 0.0701 0.3269 0.1686  6 O 2.45-2.70
Na8 0.3278 0.7025 0.1709  5 O 2.46-2.57
Na9 0.3328 0.3339 0.6674  6 O 2.42-2.68
Na10 0.3634 0.3672 0.9999  5 O 2.45-2.61
Na11 0.3670 0.9981 0.7516  6 O 2.47-2.59
Na12 0.3679 0.6182 0.5012  6 O 2.48-2.63
Na13 0.3785 0.9825 0.2529  6 O 2.43-2.65
Na14 0.3989 0.3021 0.3377  5 O 2.42-2.63
Na15 0.4014 0.6602 0.8337  5 O 2.40-2.61
Na16 0.6933 0.3384 0.4170  6 O 2.47-2.69
Na17 0.7018 0.3238 0.9153  6 O 2.49-2.66
Na18 0.7039 0.6883 0.6709  5 O 2.41-2.59
Na19 0.7069 0.9594 0.1699  6 O 2.46-2.72
Na20 0.7364 0.0011 0.4980  6 O 2.44-2.69
Na21 0.7427 0.6234 0.9987  6 O 2.46-2.73
Sc1 0.0319 0.6728 0.2362  4 O 1.99-2.15
Sc2 0.0369 0.6568 0.9334  6 O 2.00-2.23
Sc3 0.0392 0.6622 0.4331  6 O 2.02-2.25
Sc4 0.3621 0.0022 0.1031  5 O 1.98-2.17
Sc5 0.6963 0.3330 0.5688  6 O 2.01-2.25
Sc6 0.7083 0.3254 0.0662  5 O 1.98-2.16
Si1 0.0729 0.2932 0.0011  4 O 1.64-1.66
Si2 0.3349 0.3645 0.8342  4 O 1.64-1.65
Si3 0.3351 0.6640 0.3344  4 O 1.64-1.65
Si4 0.3678 0.2911 0.5013  4 O 1.64-1.65
Si5 0.4015 0.6299 0.6679  4 O 1.64-1.65
Si6 0.7364 0.6651 0.8347  4 O 1.63-1.66
Si7 0.7360 0.9614 0.3343  4 O 1.63-1.67
Si8 0.9970 0.3296 0.6680  4 O 1.63-1.67
Si9 0.9981 0.0328 0.1678  4 O 1.64-1.66
Sn1 0.0328 0.6639 0.7340  6 O 2.04-2.15
Sn2 0.3600 0.0000 0.6054  6 O 2.02-2.18
Sn3 0.3709 0.9993 0.8981  6 O 2.03-2.18
Sn4 0.3752 0.9925 0.3981  6 O 2.02-2.16
Sn5 0.7019 0.3309 0.7685  6 O 2.02-2.17
Sn6 0.7034 0.3320 0.2704  6 O 2.03-2.13
P1 0.0332 0.3677 0.3350  4 O 1.54-1.57
P2 0.0332 0.9580 0.8359  4 O 1.54-1.57
P3 0.0773 0.9961 0.5001  4 O 1.54-1.56
P4 0.3675 0.7048 0.0013  4 O 1.54-1.57
P5 0.4087 0.3295 0.1678  4 O 1.54-1.56
P6 0.6587 0.7059 0.5027  4 O 1.54-1.56
P7 0.6610 0.9978 0.0026  4 O 1.54-1.56
P8 0.7023 0.6225 0.1671  4 O 1.55-1.56
P9 0.7037 0.0344 0.6670  4 O 1.54-1.57
O1 0.0083 0.5065 0.6716  1 Si 1.67
O2 0.0094 0.8807 0.8935  1 P 1.54
O3 0.0113 0.4722 0.3917  1 P 1.54
O4 0.0151 0.8446 0.1708  1 Si 1.64
O5 0.0569 0.4811 0.9975  1 Si 1.65
O6 0.0572 0.8378 0.4957  1 P 1.55
O7 0.0626 0.4474 0.2790  1 P 1.54
O8 0.0671 0.8405 0.7814  1 P 1.55
O9 0.1567 0.0275 0.4433  1 P 1.56
O10 0.1579 0.1685 0.9423  1 Si 1.66
O11 0.1876 0.0135 0.1653  1 Si 1.65
O12 0.1923 0.2054 0.0595  1 Si 1.64
O13 0.1930 0.1678 0.6666  1 Si 1.65
O14 0.1941 0.1868 0.3394  1 P 1.57
O15 0.1950 0.4778 0.4986  1 Si 1.64
O16 0.1973 0.9577 0.5542  1 P 1.55
O17 0.1972 0.9729 0.8384  1 P 1.57
O18 0.2030 0.6951 0.9970  1 P 1.55
O19 0.2135 0.4488 0.7751  1 Si 1.65
O20 0.2142 0.6459 0.6741  1 Si 1.64
O21 0.2184 0.6978 0.2751  1 Si 1.64
O22 0.2286 0.4847 0.1736  1 P 1.55
O23 0.2543 0.6252 0.3937  1 Si 1.64
O24 0.2546 0.4840 0.8932  1 Si 1.64
O25 0.3346 0.2034 0.5605  1 Si 1.65
O26 0.3382 0.1819 0.8379  1 Si 1.65
O27 0.3379 0.8433 0.3398  1 Si 1.65
O28 0.3457 0.8142 0.0567  1 P 1.54
O29 0.3992 0.1642 0.1643  1 P 1.55
O30 0.4011 0.1705 0.4423  1 Si 1.65
O31 0.4008 0.7838 0.9445  1 P 1.57
O32 0.4009 0.8113 0.6633  1 Si 1.65
O33 0.4827 0.5093 0.6092  1 Si 1.64
O34 0.4898 0.3605 0.1123  1 P 1.54
O35 0.5192 0.3025 0.2244  1 P 1.56
O36 0.5219 0.3493 0.8281  1 Si 1.65
O37 0.5219 0.4910 0.3291  1 Si 1.65
O38 0.5222 0.5481 0.7273  1 Si 1.65
O39 0.5244 0.5248 0.0051  1 P 1.55
O40 0.5389 0.7870 0.4486  1 P 1.55
O41 0.5396 0.8247 0.8390  1 Si 1.65
O42 0.5400 0.9960 0.3367  1 Si 1.65
O43 0.5406 0.3052 0.5037  1 Si 1.64
O44 0.5425 0.0152 0.6637  1 P 1.57
O45 0.5450 0.0282 0.9476  1 P 1.56
O46 0.5457 0.8026 0.1636  1 P 1.55
O47 0.5790 0.8167 0.5595  1 P 1.56
O48 0.5836 0.9660 0.0589  1 P 1.54
O49 0.6643 0.5413 0.2219  1 P 1.56
O50 0.6672 0.1531 0.7212  1 P 1.55
O51 0.6716 0.1624 0.0057  1 P 1.55
O52 0.6791 0.5272 0.5070  1 P 1.55
O53 0.7212 0.1515 0.3308  1 Si 1.67
O54 0.7261 0.4883 0.8308  1 Si 1.66
O55 0.7257 0.5160 0.1106  1 P 1.55
O56 0.7285 0.1119 0.6094  1 P 1.54
O57 0.8157 0.6997 0.7739  1 Si 1.64
O58 0.8207 0.8523 0.2739  1 Si 1.63
O59 0.8337 0.6928 0.4964  1 P 1.54
O60 0.8406 0.8419 0.9961  1 P 1.55
O61 0.8528 0.8769 0.3934  1 Si 1.63
O62 0.8546 0.6332 0.8930  1 Si 1.63
O63 0.8600 0.8548 0.6733  1 P 1.55
O64 0.8669 0.6310 0.1729  1 P 1.55
O65 0.8767 0.3422 0.3313  1 P 1.56
O66 0.8779 0.1226 0.1098  1 Si 1.64
O67 0.8783 0.1387 0.8295  1 P 1.55
O68 0.8804 0.3599 0.6095  1 Si 1.63
O69 0.8835 0.3125 0.0036  1 Si 1.65
O70 0.9027 0.1584 0.5061  1 P 1.54
O71 0.9142 0.1571 0.2268  1 Si 1.66
O72 0.9155 0.2984 0.7288  1 Si 1.64

---

(2)
Entry from the Materials Project database: crystalline In3Cu3O8 at its relaxed geometry (PBE).

As for the formation energy: -1.47 eV/atom. The calculation puts the density at 6.128 g/cm3. Its total energy is -5.372 eV/atom.

a = 6.0260 Å, b = 6.1901 Å, c = 10.2580 Å
α = 89.96°, β = 89.83°, γ = 69.91°
Last column: nearest neighbours and their distance in Å.
Sites, in units of the cell vectors:
In1 0.0000 0.0000 0.0000  6 O 2.21-2.24
In2 0.0151 0.9602 0.3333  6 O 2.22-2.29
In3 0.4849 0.0399 0.8333  6 O 2.22-2.29
In4 0.5000 0.0000 0.5000  6 O 2.21-2.23
In5 0.5151 0.9601 0.1667  6 O 2.22-2.29
In6 0.9849 0.0398 0.6667  6 O 2.22-2.29
Cu1 0.0000 0.5000 0.5000  4 O 1.89-1.90
Cu2 0.0157 0.5151 0.8074  4 O 1.91-1.94
Cu3 0.4844 0.4847 0.3075  4 O 1.91-1.94
Cu4 0.5000 0.5000 0.0000  4 O 1.89-1.90
Cu5 0.5156 0.5153 0.6925  4 O 1.91-1.94
Cu6 0.9843 0.4849 0.1926  4 O 1.91-1.94
O1 0.0907 0.1949 0.8404  1 Cu 1.91
O2 0.1088 0.1735 0.4898  1 Cu 1.90
O3 0.1159 0.1578 0.1713  1 Cu 1.92
O4 0.1609 0.5207 0.3442  3 Cu 1.89-1.94
O5 0.3387 0.4791 0.8449  3 Cu 1.89-1.94
O6 0.3841 0.8424 0.6713  1 Cu 1.92
O7 0.3912 0.8265 0.9899  1 Cu 1.90
O8 0.4094 0.8052 0.3406  1 Cu 1.91
O9 0.5906 0.1948 0.6594  1 Cu 1.91
O10 0.6088 0.1735 0.0101  1 Cu 1.90
O11 0.6159 0.1576 0.3287  1 Cu 1.92
O12 0.6613 0.5209 0.1551  3 Cu 1.89-1.94
O13 0.8391 0.4793 0.6558  3 Cu 1.89-1.94
O14 0.8841 0.8422 0.8287  1 Cu 1.92
O15 0.8912 0.8265 0.5102  1 Cu 1.90
O16 0.9093 0.8051 0.1596  1 Cu 1.91

---

Number 2 is which compound? In3Cu3O8

---

Which value of density does entry 1 give? 3.236 g/cm3